[1]
Here is crystalline RuXeF11 at its relaxed geometry from Materials Project. Energies are from PBE.

Results
- ρ (g/cm3) = 3.53
- space-group type = Pnma (62)
- formation energy (meV/atom) = -1367
- energy (eV/atom) = -3.31
- total moment (Bohr magnetons per cell) = 12.0

Lattice parameters (Å, degrees): 5.7122 8.4785 17.1472 90.00 90.00 90.00
With the nearest neighbours (Å) after each atom.
Atoms (fractional coordinates):
F  0.0683  0.7500  0.5930  1 Ru 1.86
F  0.5757  0.0866  0.1859  1 Xe 1.99
F  0.9817  0.2500  0.0126  1 Ru 1.95
F  0.7244  0.5269  0.0406  1 Ru 1.89
Xe  0.1994  0.7500  0.8498  5 F 1.98-1.99
F  0.0757  0.9134  0.3141  1 Xe 1.99
F  0.2244  0.0269  0.4594  1 Ru 1.89
F  0.9377  0.7500  0.4422  1 Ru 1.94
F  0.1246  0.7500  0.7364  1 Xe 1.99
F  0.2244  0.4731  0.4594  1 Ru 1.89
F  0.0479  0.4145  0.1508  1 Xe 1.98
F  0.9243  0.4134  0.6859  1 Xe 1.99
F  0.5479  0.5855  0.3492  1 Xe 1.98
F  0.5183  0.2500  0.5126  1 Ru 1.95
F  0.2756  0.0269  0.9594  1 Ru 1.89
F  0.9317  0.2500  0.4070  1 Ru 1.86
F  0.5479  0.9145  0.3492  1 Xe 1.98
F  0.5683  0.2500  0.9070  1 Ru 1.86
F  0.5623  0.7500  0.9422  1 Ru 1.94
F  0.4317  0.7500  0.0930  1 Ru 1.86
F  0.8751  0.7500  0.1381  1 Ru 1.86
Xe  0.3006  0.7500  0.3498  5 F 1.98-1.99
F  0.8754  0.2500  0.2636  1 Xe 1.99
F  0.9521  0.5855  0.8492  1 Xe 1.98
F  0.4521  0.0855  0.6508  1 Xe 1.98
Ru  0.2797  0.2500  0.9576  6 F 1.86-1.95
F  0.6246  0.2500  0.7636  1 Xe 1.99
Ru  0.2203  0.2500  0.4576  6 F 1.86-1.95
F  0.0183  0.7500  0.9874  1 Ru 1.95
F  0.4817  0.7500  0.4874  1 Ru 1.95
F  0.9243  0.0866  0.6859  1 Xe 1.99
F  0.5757  0.4134  0.1859  1 Xe 1.99
F  0.3754  0.7500  0.2364  1 Xe 1.99
F  0.3751  0.2500  0.3619  1 Ru 1.86
F  0.4377  0.2500  0.0578  1 Ru 1.94
F  0.6249  0.7500  0.6381  1 Ru 1.86
F  0.2756  0.4731  0.9594  1 Ru 1.89
Ru  0.7203  0.7500  0.0424  6 F 1.86-1.95
Ru  0.7797  0.7500  0.5424  6 F 1.86-1.95
Xe  0.6994  0.2500  0.6502  5 F 1.98-1.99
F  0.1249  0.2500  0.8619  1 Ru 1.86
F  0.0623  0.2500  0.5578  1 Ru 1.94
F  0.7756  0.9731  0.5406  1 Ru 1.89
Xe  0.8006  0.2500  0.1502  5 F 1.98-1.99
F  0.0757  0.5866  0.3141  1 Xe 1.99
F  0.9521  0.9145  0.8492  1 Xe 1.98
F  0.4243  0.9134  0.8141  1 Xe 1.99
F  0.4521  0.4145  0.6508  1 Xe 1.98
F  0.0479  0.0855  0.1508  1 Xe 1.98
F  0.7756  0.5269  0.5406  1 Ru 1.89
F  0.7244  0.9731  0.0406  1 Ru 1.89
F  0.4243  0.5866  0.8141  1 Xe 1.99


[2]
Here is crystalline Sb2S19F12 at its relaxed geometry from Materials Project. Energies are from PBE.

Results
- ρ (g/cm3) = 2.31
- space-group type = P2_1/c (14)
- formation energy (meV/atom) = -1420
- energy (eV/atom) = -4.29
- total moment (Bohr magnetons per cell) = 0.9

Lattice parameters (Å, degrees): 13.6675 14.8396 15.9131 74.64 90.00 90.00
With the nearest neighbours (Å) after each atom.
Atoms (fractional coordinates):
F  0.2025  0.3579  0.5940  1 Sb 1.93
S  0.6004  0.7553  0.2894  2 S 2.03-2.12
S  0.0898  0.5931  0.7789  1 S 1.96
F  0.8052  0.4051  0.0409  1 Sb 1.93
S  0.4420  0.2161  0.1596  3 S 2.08-2.31
S  0.8722  0.3086  0.7460  2 S 2.02-2.11
S  0.9546  0.1106  0.6969  2 S 2.06-2.08
F  0.2693  0.5293  0.1232  1 Sb 1.93
S  0.3626  0.8093  0.2960  2 S 2.05-2.10
F  0.2290  0.4272  0.9276  1 Sb 1.92
S  0.0147  0.6564  0.3380  2 S 2.02-2.15
F  0.7307  0.4707  0.8768  1 Sb 1.93
Sb  0.2484  0.4770  0.0260  6 F 1.92-1.93
S  0.3917  0.2337  0.9176  2 S 2.03-2.09
F  0.7115  0.9572  0.5291  1 Sb 1.93
S  0.7117  0.1991  0.0408  2 S 2.06-2.08
S  0.9181  0.3409  0.8611  2 S 2.03-2.11
F  0.7718  0.9882  0.7808  1 Sb 1.93
F  0.0796  0.0441  0.1009  1 Sb 1.92
F  0.3052  0.5949  0.4591  1 Sb 1.93
F  0.3785  0.5146  0.9855  1 Sb 1.92
S  0.6014  0.1028  0.0786  2 S 2.06
S  0.9420  0.7839  0.3404  3 S 2.08-2.31
S  0.5049  0.3216  0.9191  2 S 2.03-2.13
F  0.7710  0.5728  0.0724  1 Sb 1.92
S  0.3382  0.8646  0.3991  2 S 2.05-2.08
S  0.5898  0.4069  0.7211  1 S 1.96
S  0.9840  0.5758  0.7015  2 S 1.96-2.13
F  0.7633  0.8403  0.9246  1 Sb 1.92
S  0.9951  0.3216  0.4191  2 S 2.03-2.13
S  0.6376  0.7298  0.6557  2 S 1.97-2.12
Sb  0.2187  0.0273  0.0951  6 F 1.92-1.93
F  0.2307  0.5293  0.6232  1 Sb 1.93
S  0.2883  0.8009  0.9592  2 S 2.06-2.08
S  0.5696  0.8428  0.1707  2 S 2.03-2.09
S  0.4304  0.1572  0.8293  2 S 2.03-2.09
S  0.0351  0.7031  0.8468  3 S 2.10-2.31
Sb  0.2813  0.0273  0.5951  6 F 1.92-1.93
F  0.8585  0.9888  0.4095  1 Sb 1.93
S  0.3986  0.8972  0.9214  2 S 2.06
F  0.2710  0.4272  0.4276  1 Sb 1.92
F  0.7975  0.6421  0.4060  1 Sb 1.93
S  0.4899  0.2369  0.4225  2 S 2.03-2.12
F  0.2990  0.8945  0.6159  1 Sb 1.92
S  0.3722  0.6914  0.7540  2 S 2.02-2.11
S  0.0819  0.6591  0.1389  2 S 2.03-2.11
S  0.1014  0.8972  0.4214  2 S 2.06
S  0.8499  0.8300  0.2147  1 S 1.97
S  0.5147  0.3436  0.1620  2 S 2.02-2.15
Sb  0.7484  0.5230  0.4740  6 F 1.92-1.93
F  0.7025  0.6421  0.9060  1 Sb 1.93
S  0.8624  0.7298  0.1557  2 S 1.97-2.12
F  0.7282  0.9882  0.2808  1 Sb 1.93
S  0.0101  0.2369  0.9225  2 S 2.03-2.12
S  0.5580  0.7839  0.8404  3 S 2.08-2.31
S  0.6083  0.7663  0.0824  2 S 2.03-2.09
S  0.4181  0.6591  0.6389  2 S 2.03-2.11
S  0.1004  0.2447  0.2106  2 S 2.03-2.12
S  0.5160  0.5758  0.2015  2 S 1.96-2.13
S  0.6501  0.8300  0.7147  1 S 1.97
F  0.2367  0.1597  0.0754  1 Sb 1.92
F  0.6215  0.4854  0.0145  1 Sb 1.92
F  0.7290  0.5728  0.5724  1 Sb 1.92
S  0.2117  0.8009  0.4592  2 S 2.06-2.08
S  0.8917  0.7663  0.5824  2 S 2.03-2.09
S  0.1501  0.1700  0.7853  1 S 1.97
F  0.2115  0.0428  0.9709  1 Sb 1.93
F  0.7367  0.8403  0.4246  1 Sb 1.92
S  0.0580  0.2161  0.6596  3 S 2.08-2.31
S  0.5101  0.7631  0.5775  2 S 2.03-2.12
S  0.5454  0.1106  0.1969  2 S 2.06-2.08
S  0.9304  0.8428  0.6707  2 S 2.03-2.09
S  0.3499  0.1700  0.2853  1 S 1.97
F  0.2010  0.8945  0.1159  1 Sb 1.92
Sb  0.7813  0.9727  0.9049  6 F 1.92-1.93
S  0.8986  0.1028  0.5786  2 S 2.06
F  0.3811  0.4379  0.5684  1 Sb 1.93
F  0.2282  0.0118  0.2192  1 Sb 1.93
S  0.3624  0.2702  0.3443  2 S 1.97-2.12
F  0.6415  0.9888  0.9095  1 Sb 1.93
F  0.2885  0.0428  0.4709  1 Sb 1.93
Sb  0.2516  0.4770  0.5260  6 F 1.92-1.93
S  0.8382  0.1354  0.1009  2 S 2.05-2.08
S  0.9853  0.3436  0.6620  2 S 2.02-2.15
S  0.0160  0.4242  0.2985  2 S 1.96-2.13
F  0.2633  0.1597  0.5754  1 Sb 1.92
F  0.1189  0.4379  0.0684  1 Sb 1.93
S  0.6618  0.1354  0.6009  2 S 2.05-2.08
S  0.9899  0.7631  0.0775  2 S 2.03-2.12
S  0.3996  0.2447  0.7106  2 S 2.03-2.12
F  0.9204  0.9559  0.8991  1 Sb 1.92
S  0.1278  0.6914  0.2540  2 S 2.02-2.11
S  0.5819  0.3409  0.3611  2 S 2.03-2.11
S  0.0696  0.1572  0.3293  2 S 2.03-2.09
S  0.1618  0.8646  0.8991  2 S 2.05-2.08
F  0.3585  0.0112  0.0905  1 Sb 1.93
F  0.6948  0.4051  0.5409  1 Sb 1.93
F  0.1415  0.0112  0.5905  1 Sb 1.93
S  0.0049  0.6784  0.5809  2 S 2.03-2.13
F  0.6189  0.5621  0.4316  1 Sb 1.93
F  0.1215  0.5146  0.4855  1 Sb 1.92
S  0.4853  0.6564  0.8380  2 S 2.02-2.15
S  0.1376  0.2702  0.8443  2 S 1.97-2.12
S  0.8626  0.1907  0.2040  2 S 2.05-2.10
S  0.9102  0.4069  0.2211  1 S 1.96
S  0.1374  0.8093  0.7960  2 S 2.05-2.10
S  0.8996  0.7553  0.7894  2 S 2.03-2.12
S  0.1083  0.2337  0.4176  2 S 2.03-2.09
S  0.6374  0.1907  0.7040  2 S 2.05-2.10
F  0.7010  0.1055  0.3841  1 Sb 1.92
S  0.7883  0.1991  0.5408  2 S 2.06-2.08
Sb  0.7516  0.5230  0.9740  6 F 1.92-1.93
S  0.4546  0.8894  0.8031  2 S 2.06-2.08
F  0.2975  0.3579  0.0940  1 Sb 1.93
F  0.7990  0.1055  0.8841  1 Sb 1.92
S  0.4649  0.7031  0.3468  3 S 2.10-2.31
S  0.4840  0.4242  0.7985  2 S 1.96-2.13
S  0.9649  0.2969  0.1532  3 S 2.10-2.31
F  0.7693  0.4707  0.3768  1 Sb 1.93
S  0.4951  0.6784  0.0809  2 S 2.03-2.13
F  0.5796  0.9559  0.3991  1 Sb 1.92
S  0.4102  0.5931  0.2789  1 S 1.96
S  0.5351  0.2969  0.6532  3 S 2.10-2.31
S  0.6278  0.3086  0.2460  2 S 2.02-2.11
Sb  0.7187  0.9727  0.4049  6 F 1.92-1.93
F  0.7885  0.9572  0.0291  1 Sb 1.93
F  0.4204  0.0441  0.6009  1 Sb 1.92
F  0.8785  0.4854  0.5145  1 Sb 1.92
S  0.0454  0.8894  0.3031  2 S 2.06-2.08
F  0.2718  0.0118  0.7192  1 Sb 1.93
F  0.8811  0.5621  0.9316  1 Sb 1.93
F  0.1948  0.5949  0.9591  1 Sb 1.93


[3]
Here is crystalline SmSF at its relaxed geometry from Materials Project. Energies are from PBE.

Results
- ρ (g/cm3) = 6.36
- space-group type = P4/nmm (129)
- formation energy (meV/atom) = -3318
- energy (eV/atom) = -6.59

Lattice parameters (Å, degrees): 3.8904 3.8904 6.9448 90.00 90.00 90.00
With the nearest neighbours (Å) after each atom.
Atoms (fractional coordinates):
S  0.0000  0.5000  0.3547  5 Sm 2.89, 4 F 3.14
F  0.0000  0.0000  0.0000  4 Sm 2.51, 4 F 2.75
F  0.5000  0.5000  0.0000  4 Sm 2.51, 4 F 2.75
S  0.5000  0.0000  0.6453  5 Sm 2.89, 4 F 3.14
Sm  0.0000  0.5000  0.7707  4 F 2.51
Sm  0.5000  0.0000  0.2293  4 F 2.51